Entry from the Materials Project: a relaxed structure of CaNiGe (r2SCAN).

It has space group P4/nmm (No. 129, origin choice 2), with a = 4.154 Å, b = 4.154 Å, c = 6.638 Å, α = 90.00°, β = 90.00° and γ = 90.00°. Symmetry generates all atoms from Ca at (0.250, 0.250, 0.179), Ni at (0.250, 0.750, 0.500) and Ge at (0.250, 0.250, 0.685).

=====

Entry from the Materials Project: a relaxed structure of CaGe2O5 (r2SCAN).

It has space group P-1 (No. 2), with a = 5.426 Å, b = 5.549 Å, c = 6.887 Å, α = 105.21°, β = 101.78° and γ = 106.88°. Symmetry generates all atoms from Ca at (0.161, 0.318, 0.270), Ge at (0.188, 0.319, 0.758), Ge at (0.500, 0.000, 0.000), Ge at (0.500, 0.000, 0.500), O at (0.122, 0.766, 0.436), O at (0.201, 0.114, 0.912), O at (0.239, 0.643, 0.918), O at (0.423, 0.315, 0.615) and O at (0.431, 0.069, 0.254).

The relative energy among the computed polymorphs comes out at 5 meV per atom.

=====

Calculated energy of formation from the pure elements (eV/atom), listed in the same order as above: -0.558, -2.296
Calculated size of the total moment (μB/atom), listed in the same order as above: 0.000, 0.000
Calculated mass density (g cm⁻³), listed in the same order as above: 4.969, 4.831